[1]
# Sc2TlTc | the Materials Project | meta-GGA r2SCAN | relaxed
data_Sc2TlTc
_chemical_formula_sum 'Sc8 Tl4 Tc4'
_cell_length_a 6.781
_cell_length_b 6.781
_cell_length_c 6.781
_cell_angle_alpha 90.00
_cell_angle_beta 90.00
_cell_angle_gamma 90.00
_symmetry_space_group_name_H-M 'F m -3 m'
_symmetry_Int_Tables_number 225
_symmetry_space_group_name_Hall '-F 4 2 3'
loop_
_atom_site_label
_atom_site_type_symbol
_atom_site_fract_x
_atom_site_fract_y
_atom_site_fract_z
Sc1 Sc 0.250 0.250 0.250
Tl1 Tl 0.000 0.000 0.000
Tc1 Tc 0.000 0.000 0.500
# Formation energy ... -90 kJ/mol of formula units
# Calculated volume ... 311.7 Å³/cell
# VASP energy ... -25.718 eV/atom
# Magnetic moment ... 0.0 μB per formula unit

=====

[2]
# ScUTc2 | the Materials Project | meta-GGA r2SCAN | relaxed
data_ScUTc2
_chemical_formula_sum 'Sc4 U4 Tc8'
_cell_length_a 6.588
_cell_length_b 6.588
_cell_length_c 6.588
_cell_angle_alpha 90.00
_cell_angle_beta 90.00
_cell_angle_gamma 90.00
_symmetry_space_group_name_H-M 'F m -3 m'
_symmetry_Int_Tables_number 225
_symmetry_space_group_name_Hall '-F 4 2 3'
loop_
_atom_site_label
_atom_site_type_symbol
_atom_site_fract_x
_atom_site_fract_y
_atom_site_fract_z
Sc1 Sc 0.000 0.000 0.000
U1 U 0.000 0.000 0.500
Tc1 Tc 0.250 0.250 0.250
# Formation energy ... -70 kJ/mol of formula units
# Calculated volume ... 285.9 Å³/cell
# VASP energy ... -35.998 eV/atom
# Magnetic moment ... 1.2 μB per formula unit

=====

[3]
# ScTc2W | the Materials Project | meta-GGA r2SCAN | relaxed
data_ScTc2W
_chemical_formula_sum 'Sc4 Tc8 W4'
_cell_length_a 6.307
_cell_length_b 6.307
_cell_length_c 6.307
_cell_angle_alpha 90.00
_cell_angle_beta 90.00
_cell_angle_gamma 90.00
_symmetry_space_group_name_H-M 'F m -3 m'
_symmetry_Int_Tables_number 225
_symmetry_space_group_name_Hall '-F 4 2 3'
loop_
_atom_site_label
_atom_site_type_symbol
_atom_site_fract_x
_atom_site_fract_y
_atom_site_fract_z
Sc1 Sc 0.000 0.000 0.000
Tc1 Tc 0.250 0.250 0.250
W1 W 0.000 0.000 0.500
# Formation energy ... -86 kJ/mol of formula units
# Calculated volume ... 250.9 Å³/cell
# VASP energy ... -28.896 eV/atom
# Magnetic moment ... 0.0 μB per formula unit

=====

[4]
# Sc2Te | the Materials Project | meta-GGA r2SCAN | relaxed
data_Sc2Te
_chemical_formula_sum 'Sc24 Te12'
_cell_length_a 20.258
_cell_length_b 3.952
_cell_length_c 10.719
_cell_angle_alpha 90.00
_cell_angle_beta 90.00
_cell_angle_gamma 90.00
_symmetry_space_group_name_H-M 'P n m a'
_symmetry_Int_Tables_number 62
_symmetry_space_group_name_Hall '-P 2ac 2n'
loop_
_atom_site_label
_atom_site_type_symbol
_atom_site_fract_x
_atom_site_fract_y
_atom_site_fract_z
Sc1 Sc 0.009 0.250 0.106
Sc2 Sc 0.032 0.750 0.379
Sc3 Sc 0.107 0.250 0.840
Sc4 Sc 0.136 0.750 0.069
Sc5 Sc 0.164 0.250 0.534
Sc6 Sc 0.228 0.750 0.755
Te1 Te 0.075 0.750 0.643
Te2 Te 0.125 0.250 0.276
Te3 Te 0.235 0.250 0.970
# Formation energy ... -265 kJ/mol of formula units
# Calculated volume ... 858.2 Å³/cell
# VASP energy ... -16.986 eV/atom
# Magnetic moment ... 0.0 μB per formula unit

=====

[5]
# ScTlTe2 | the Materials Project | meta-GGA r2SCAN | relaxed
data_ScTlTe2
_chemical_formula_sum 'Sc3 Tl3 Te6'
_cell_length_a 4.2738
_cell_length_b 4.2738
_cell_length_c 24.2195
_cell_angle_alpha 90.00
_cell_angle_beta 90.00
_cell_angle_gamma 120.00
_symmetry_space_group_name_H-M 'R -3 m'
_symmetry_Int_Tables_number 166
_symmetry_space_group_name_Hall '-R 3 2"'
loop_
_atom_site_label
_atom_site_type_symbol
_atom_site_fract_x
_atom_site_fract_y
_atom_site_fract_z
Sc1 Sc 0.0000 0.0000 0.0000
Tl1 Tl 0.0000 0.0000 0.5000
Te1 Te 0.0000 0.0000 0.2655
# Formation energy ... -420 kJ/mol of formula units
# Calculated volume ... 383.1 Å³/cell
# VASP energy ... -29.940 eV/atom
# Magnetic moment ... 0.0 μB per formula unit

=====

[6]
# ThSc3 | the Materials Project | meta-GGA r2SCAN | relaxed
data_ThSc3
_chemical_formula_sum 'Th2 Sc6'
_cell_length_a 4.893
_cell_length_b 4.893
_cell_length_c 8.935
_cell_angle_alpha 90.00
_cell_angle_beta 90.00
_cell_angle_gamma 90.00
_symmetry_space_group_name_H-M 'I 4/m m m'
_symmetry_Int_Tables_number 139
_symmetry_space_group_name_Hall '-I 4 2'
loop_
_atom_site_label
_atom_site_type_symbol
_atom_site_fract_x
_atom_site_fract_y
_atom_site_fract_z
Th1 Th 0.000 0.000 0.000
Sc1 Sc 0.000 0.000 0.500
Sc2 Sc 0.000 0.500 0.250
# Formation energy ... 20 kJ/mol of formula units
# Calculated volume ... 213.9 Å³/cell
# VASP energy ... -26.865 eV/atom
# Magnetic moment ... 0.0 μB per formula unit

=====

What is the formula in the first record?
Sc2TlTc

=====

Which value of formation energy does entry 1 give?
-90 kJ/mol of formula units

=====

Which value of formation energy does entry 6 give?
20 kJ/mol of formula units